# LiMn7O12

A geometry-optimized LiMn7O12 structure (PBE with a Hubbard U, the Materials Project).

Summary:
As for the volume: 10.21 Å³ per atom. As for the magnetic moment: 52.00 Bohr magnetons per cell. For the uncorrected energy, the calculation gives -288.6 eV/cell. The formation enthalpy at 0 K comes out at -1.94 eV per atom.

a b c (Å): 6.4240 6.4196 10.5074
angles (deg): 89.62 90.33 109.58
Closest atoms and distances in Å follow each position.
Atoms (fractional coordinates):
O 0.2737 0.1028 0.5978  3 Mn 1.92-2.07
O 0.1577 0.4744 0.6583  3 Mn 1.95-1.98
O 0.7824 0.5945 0.0895  3 Mn 1.95-1.99
O 0.6635 0.9724 0.1540  3 Mn 1.95-1.99
O 0.4379 0.5617 0.2520  3 Mn 1.95-1.98
O 0.4056 0.2187 0.0901  3 Mn 1.94-2.00
O 0.1044 0.2757 0.4053  3 Mn 1.93-2.05
O 0.7262 0.8972 0.4022  3 Mn 1.92-2.07
O 0.2511 0.7467 0.4368  3 Mn 1.96-1.98
O 0.3365 0.0277 0.8460  3 Mn 1.95-1.99
O 0.9690 0.6671 0.8410  3 Mn 1.93-2.02
O 0.8422 0.5256 0.3418  3 Mn 1.95-1.98
O 0.5252 0.8442 0.6574  3 Mn 1.95-1.97
O 0.7488 0.2533 0.5632  3 Mn 1.96-1.97
O 0.2524 0.7553 0.0652  3 Mn 1.94-2.00
O 0.9327 0.0668 0.7576  3 Mn 1.95-1.96
O 0.2177 0.4056 0.9106  3 Mn 1.95-1.99
O 0.7477 0.2446 0.9348  3 Mn 1.94-2.00
O 0.5944 0.7813 0.9099  3 Mn 1.94-2.00
O 0.8956 0.7243 0.5946  3 Mn 1.93-2.05
O 0.5622 0.4383 0.7480  3 Mn 1.95-1.98
O 0.0309 0.3329 0.1591  3 Mn 1.93-2.02
O 0.4747 0.1558 0.3426  3 Mn 1.95-1.97
O 0.0674 0.9332 0.2425  3 Mn 1.95-1.96
Mn 0.4999 0.0001 0.5000  6 O 1.96-2.07
Mn 0.2505 0.2455 0.2504  6 O 1.93-2.00
Mn 0.5001 0.9999 0.0000  6 O 1.95-1.96
Mn 0.0000 0.0000 0.4999  4 O 1.94-1.95
Mn 0.7468 0.2515 0.7500  4 O 1.94-1.96
Mn 0.2457 0.2521 0.7512  6 O 1.92-1.99
Mn 0.7544 0.7479 0.2488  6 O 1.92-1.99
Mn 0.0001 0.5000 0.0000  6 O 1.95-2.02
Mn 0.2467 0.7536 0.7497  4 O 1.94-1.95
Mn 0.5000 0.5000 0.0001  4 O 1.94-1.95
Mn 0.7532 0.2465 0.2502  4 O 1.94-1.95
Mn 0.7494 0.7544 0.7496  6 O 1.93-2.00
Mn 0.9999 0.5000 0.5000  6 O 1.96-2.05
Mn 0.2533 0.7485 0.2501  4 O 1.94-1.96
Li 0.5001 0.5000 0.5000  12 O 2.66-2.73
Li 0.0001 0.0001 0.9999  12 O 2.64-2.69


# Li14Mn22Cr3Cu3O56

A geometry-optimized Li14Mn22Cr3Cu3O56 structure (PBE with a Hubbard U, the Materials Project).

Summary:
As for the volume: 10.44 Å³ per atom. As for the magnetic moment: 83.71 Bohr magnetons per cell. For the uncorrected energy, the calculation gives -661.0 eV/cell. The formation enthalpy at 0 K comes out at -2.00 eV per atom.

a b c (Å): 5.9242 5.9242 33.8551
angles (deg): 84.72 84.72 59.96
Closest atoms and distances in Å follow each position.
Atoms (fractional coordinates):
O 0.3768 0.9323 0.8205  2 Mn 1.96-1.98, 1 Li 1.99, 1 Cr 2.01
O 0.2407 0.7807 0.2446  2 Mn 1.91-1.95, 1 Li 1.99, 1 Cu 2.09
O 0.3842 0.3842 0.3264  3 Mn 1.95-2.05, 1 Li 2.02
O 0.7807 0.2407 0.2446  2 Mn 1.91-1.95, 1 Li 1.99, 1 Cu 2.09
O 0.7376 0.7376 0.2450  3 Mn 1.96-2.13, 1 Li 2.03
O 0.2363 0.2363 0.2448  2 Mn 1.94, 1 Li 2.01, 1 Cu 2.07
O 0.4717 0.4717 0.1037  3 Mn 1.95-2.04, 1 Li 1.97
O 0.1197 0.1197 0.1821  3 Mn 1.95-2.13, 1 Li 1.98
O 0.8180 0.3627 0.5357  2 Mn 1.92-1.93, 1 Li 1.98, 1 Cu 2.10
O 0.6691 0.6691 0.9584  2 Mn 1.94, 1 Li 2.02, 1 Cu 2.11
O 0.7658 0.7658 0.7492  3 Mn 1.94-2.05, 1 Li 2.01
O 0.4948 0.0495 0.8937  2 Mn 1.94-1.97, 1 Li 2.00, 1 Cr 2.03
O 0.4817 0.4817 0.6061  3 Mn 1.94-2.05, 1 Li 2.02
O 0.0438 0.0438 0.3892  3 Mn 1.94-2.04, 1 Li 1.96
O 0.9449 0.9449 0.1055  3 Mn 1.96-1.99, 1 Li 2.02
O 0.8137 0.8137 0.0407  3 Mn 1.96-2.04, 1 Li 2.01
O 0.2112 0.6739 0.9601  1 Mn 1.90, 1 Li 1.98, 1 Cr 1.99, 1 Cu 2.06
O 0.0531 0.0531 0.8942  3 Mn 1.97-2.00, 1 Li 2.05
O 0.9676 0.9676 0.6132  2 Mn 1.96, 1 Li 1.99, 1 Cr 2.02
O 0.0737 0.5126 0.3915  3 Mn 1.96-2.01, 1 Li 2.01
O 0.7654 0.2103 0.7510  2 Mn 1.95-1.98, 1 Li 2.00, 1 Cr 2.02
O 0.6820 0.6820 0.4706  2 Mn 1.95, 1 Li 2.00, 1 Cu 2.02
O 0.1814 0.6366 0.4638  2 Mn 1.92-1.94, 1 Li 1.98, 1 Cu 2.10
O 0.6260 0.6260 0.1801  3 Mn 1.96-1.99, 1 Li 2.01
O 0.6227 0.0685 0.1806  3 Mn 1.97-2.00, 1 Li 2.00
O 0.0495 0.4948 0.8937  2 Mn 1.94-1.97, 1 Li 2.00, 1 Cr 2.03
O 0.6470 0.0923 0.6776  2 Mn 1.95-1.98, 1 Li 2.00, 1 Cr 2.02
O 0.8073 0.8073 0.5339  3 Mn 1.99-2.00, 1 Li 2.06
O 0.8898 0.8898 0.8154  2 Mn 1.96, 1 Li 2.00, 1 Cr 2.02
O 0.6043 0.6043 0.6723  2 Mn 1.96, 1 Li 1.99, 1 Cr 2.02
O 0.5126 0.0737 0.3915  3 Mn 1.96-2.01, 1 Li 2.01
O 0.5147 0.5147 0.3917  3 Mn 1.97-1.99, 1 Li 2.04
O 0.1756 0.1756 0.9582  2 Mn 1.97, 1 Cr 2.03, 1 Li 2.05
O 0.0915 0.0915 0.6792  3 Mn 1.94-2.04, 1 Li 2.01
O 0.3334 0.3334 0.0412  2 Mn 1.93, 1 Li 2.01, 1 Cu 2.10
O 0.0685 0.6227 0.1806  3 Mn 1.97-2.00, 1 Li 2.00
O 0.1924 0.1924 0.4665  3 Mn 1.98-1.99, 1 Li 2.03
O 0.4812 0.9260 0.6081  2 Mn 1.96-1.98, 1 Li 2.00, 1 Cr 2.01
O 0.3772 0.3772 0.8223  3 Mn 1.94-2.05, 1 Li 2.00
O 0.0923 0.6470 0.6776  2 Mn 1.95-1.98, 1 Li 2.00, 1 Cr 2.02
O 0.9068 0.9068 0.3268  2 Mn 1.93, 1 Li 2.01, 1 Cu 2.07
O 0.9433 0.5023 0.1051  3 Mn 1.97-1.99, 1 Li 1.99
O 0.2103 0.7654 0.7510  2 Mn 1.95-1.98, 1 Li 2.00, 1 Cr 2.02
O 0.3628 0.9088 0.3267  2 Mn 1.92-1.95, 1 Li 1.99, 1 Cu 2.09
O 0.3627 0.8180 0.5357  2 Mn 1.92-1.93, 1 Li 1.98, 1 Cu 2.10
O 0.3376 0.7900 0.0408  2 Mn 1.92-1.95, 1 Li 2.00, 1 Cu 2.08
O 0.5388 0.5388 0.8981  2 Mn 1.96, 1 Li 1.98, 1 Cr 2.02
O 0.5023 0.9433 0.1051  3 Mn 1.97-1.99, 1 Li 1.99
O 0.6366 0.1814 0.4638  2 Mn 1.92-1.94, 1 Li 1.98, 1 Cu 2.10
O 0.9260 0.4812 0.6081  2 Mn 1.96-1.98, 1 Li 2.00, 1 Cr 2.01
O 0.3181 0.3181 0.5291  2 Mn 1.95, 1 Li 1.99, 1 Cu 2.02
O 0.9323 0.3768 0.8205  2 Mn 1.96-1.98, 1 Li 1.99, 1 Cr 2.01
O 0.9088 0.3628 0.3267  2 Mn 1.92-1.95, 1 Li 1.99, 1 Cu 2.09
O 0.2529 0.2529 0.7562  2 Mn 1.96, 1 Li 1.98, 1 Cr 2.02
O 0.7900 0.3376 0.0408  2 Mn 1.92-1.95, 1 Li 2.00, 1 Cu 2.08
O 0.6739 0.2112 0.9601  1 Mn 1.90, 1 Li 1.98, 1 Cr 1.99, 1 Cu 2.06
Mn 0.2125 0.2125 0.3574  6 O 1.92-1.98
Mn 0.2128 0.7164 0.3576  6 O 1.93-2.05
Mn 0.6415 0.6415 0.0717  6 O 1.92-1.97
Mn 0.0710 0.5715 0.7857  6 O 1.96-2.05
Mn 0.4259 0.9295 0.2140  6 O 1.91-1.99
Mn 0.2151 0.2151 0.8572  6 O 1.94-1.97
Mn 0.9292 0.9292 0.2142  6 O 1.95-2.13
Mn 0.9287 0.9287 0.7142  6 O 1.94-1.95
Mn 0.3539 0.3539 0.4288  6 O 1.92-1.98
Mn 0.7857 0.7857 0.1428  6 O 1.96-1.98
Mn 0.5715 0.0710 0.7857  6 O 1.96-2.05
Mn 0.3581 0.8551 0.9283  6 O 1.90-2.00
Mn 0.6405 0.1452 0.0716  6 O 1.93-2.04
Mn 0.7164 0.2128 0.3576  6 O 1.93-2.05
Mn 0.2862 0.7865 0.6428  6 O 1.96-2.05
Mn 0.9996 0.5001 0.5000  6 O 1.93-2.00
Mn 0.6436 0.6436 0.5711  6 O 1.92-1.99
Mn 0.8551 0.3581 0.9283  6 O 1.90-2.00
Mn 0.1452 0.6405 0.0716  6 O 1.93-2.04
Mn 0.9295 0.4259 0.2140  6 O 1.91-1.99
Mn 0.5001 0.9996 0.5000  6 O 1.93-2.00
Mn 0.7865 0.2862 0.6428  6 O 1.96-2.05
Li 0.4450 0.4450 0.1622  4 O 1.97-2.01
Li 0.7319 0.7319 0.3050  4 O 1.99-2.03
Li 0.1597 0.1597 0.0190  4 O 2.00-2.05
Li 0.5581 0.5581 0.8392  4 O 1.98-2.00
Li 0.8703 0.8703 0.8748  4 O 2.00-2.05
Li 0.4117 0.4117 0.2664  4 O 1.99-2.02
Li 0.5853 0.5853 0.7313  4 O 1.99-2.01
Li 0.9893 0.9893 0.5542  4 O 1.98-2.06
Li 0.0120 0.0120 0.4472  4 O 1.96-2.03
Li 0.2999 0.2999 0.5881  4 O 1.99-2.02
Li 0.6961 0.6961 0.4112  4 O 2.00-2.04
Li 0.1260 0.1260 0.1234  4 O 1.98-2.02
Li 0.2719 0.2719 0.6973  4 O 1.98-2.01
Li 0.8440 0.8440 0.9810  4 O 1.98-2.02
Cu 0.5009 0.5009 0.9999  6 O 2.06-2.11
Cu 0.4997 0.4997 0.4998  6 O 2.02-2.10
Cu 0.0714 0.0714 0.2858  6 O 2.07-2.09
Cr 0.0713 0.0713 0.7857  6 O 2.01-2.02
Cr 0.3583 0.3583 0.9285  6 O 1.99-2.03
Cr 0.7861 0.7861 0.6428  6 O 2.01-2.02


# Cu2MoSeO7

A geometry-optimized Cu2MoSeO7 structure (PBE with a Hubbard U, the Materials Project).

Summary:
As for the volume: 14.24 Å³ per atom. As for the magnetic moment: 8.00 Bohr magnetons per cell. For the uncorrected energy, the calculation gives -256.4 eV/cell. The formation enthalpy at 0 K comes out at -1.36 eV per atom.

a b c (Å): 9.1584 8.3433 8.4719
angles (deg): 75.51 90.00 90.00
Closest atoms and distances in Å follow each position.
Atoms (fractional coordinates):
Cu 0.5064 0.6852 0.5265  4 O 1.94-2.02
Cu 0.0064 0.3148 0.9735  4 O 1.94-2.02
Cu 0.5065 0.6879 0.8819  4 O 1.95-2.04
Cu 0.9936 0.6852 0.0265  4 O 1.94-2.02
Cu 0.9935 0.6879 0.3819  4 O 1.95-2.04
Cu 0.4936 0.3148 0.4735  4 O 1.94-2.02
Cu 0.0065 0.3121 0.6181  4 O 1.95-2.04
Cu 0.4935 0.3121 0.1181  4 O 1.95-2.04
Mo 0.7093 0.1230 0.8422  4 O 1.77-1.87
Mo 0.2093 0.8770 0.6578  4 O 1.77-1.87
Mo 0.7907 0.1230 0.3422  4 O 1.77-1.87
Mo 0.2907 0.8770 0.1578  4 O 1.77-1.87
O 0.3875 0.4343 0.6069  1 Se 1.74, 1 Cu 1.94
O 0.8947 0.2201 0.8194  1 Mo 1.87, 2 Cu 1.97
O 0.7714 0.9054 0.3921  1 Mo 1.77
O 0.6053 0.2201 0.3194  1 Mo 1.87, 2 Cu 1.97
O 0.7286 0.9054 0.8921  1 Mo 1.77
O 0.1090 0.8233 0.4975  1 Mo 1.79, 1 Cu 1.98
O 0.1072 0.4339 0.4225  1 Se 1.74
O 0.8574 0.6190 0.2197  1 Se 1.78
O 0.8957 0.1841 0.1593  1 Mo 1.79, 1 Cu 1.96
O 0.8928 0.5661 0.5775  1 Se 1.74
O 0.3574 0.3810 0.2803  1 Se 1.78
O 0.6090 0.1767 0.0025  1 Mo 1.79, 1 Cu 1.98
O 0.6125 0.5657 0.3931  1 Se 1.74, 1 Cu 1.94
O 0.6043 0.1841 0.6593  1 Mo 1.79, 1 Cu 1.96
O 0.8875 0.5657 0.8931  1 Se 1.74, 1 Cu 1.94
O 0.1426 0.3810 0.7803  1 Se 1.78
O 0.2714 0.0946 0.1079  1 Mo 1.77
O 0.1125 0.4343 0.1069  1 Se 1.74, 1 Cu 1.94
O 0.2286 0.0946 0.6079  1 Mo 1.77
O 0.1043 0.8159 0.8407  1 Mo 1.79, 1 Cu 1.96
O 0.3947 0.7799 0.6806  1 Mo 1.87, 2 Cu 1.97
O 0.6072 0.5661 0.0775  1 Se 1.74
O 0.3910 0.8233 0.9975  1 Mo 1.79, 1 Cu 1.98
O 0.1053 0.7799 0.1806  1 Mo 1.87, 2 Cu 1.97
O 0.8910 0.1767 0.5025  1 Mo 1.79, 1 Cu 1.98
O 0.6426 0.6190 0.7197  1 Se 1.78
O 0.3928 0.4339 0.9225  1 Se 1.74
O 0.3957 0.8159 0.3407  1 Mo 1.79, 1 Cu 1.96
Se 0.1719 0.3161 0.2949  3 O 1.74-1.78
Se 0.8281 0.6839 0.7051  3 O 1.74-1.78
Se 0.3281 0.3161 0.7949  3 O 1.74-1.78
Se 0.6719 0.6839 0.2051  3 O 1.74-1.78


# Li9Mn2Co5O16

A geometry-optimized Li9Mn2Co5O16 structure (PBE with a Hubbard U, the Materials Project).

Summary:
As for the volume: 9.00 Å³ per atom. As for the magnetic moment: 8.00 Bohr magnetons per cell. For the uncorrected energy, the calculation gives -186.5 eV/cell. The formation enthalpy at 0 K comes out at -1.84 eV per atom.

a b c (Å): 5.8642 5.9190 9.7394
angles (deg): 79.43 80.24 60.45
Closest atoms and distances in Å follow each position.
Atoms (fractional coordinates):
Li 0.4978 0.5027 0.9993  6 O 2.06-2.13
Li 0.7500 0.2507 0.4998  6 O 2.07-2.23
Li 0.3715 0.3844 0.7592  5 O 2.11-2.23
Li 0.9979 0.4998 0.0024  6 O 2.06-2.27
Li 0.2529 0.7461 0.5004  6 O 2.07-2.19
Li 0.8740 0.8801 0.7529  6 O 2.05-2.21
Li 0.4977 0.9996 0.9985  6 O 2.09-2.21
Li 0.6263 0.6216 0.2441  6 O 2.15-2.23
Li 0.1259 0.1182 0.2453  4 O 2.01-2.18
O 0.8237 0.8234 0.1186  1 Mn 1.95, 2 Co 2.08, 3 Li 2.11-2.15
O 0.7147 0.1869 0.8745  1 Co 1.90, 1 Mn 1.96, 1 Li 2.08
O 0.0913 0.0680 0.6291  2 Co 1.92-1.96
O 0.6652 0.6985 0.8598  2 Co 1.87-1.98, 2 Li 2.05-2.06
O 0.0452 0.5587 0.6196  1 Mn 1.98, 2 Co 2.02-2.08, 2 Li 2.11-2.21
O 0.5703 0.0284 0.6187  1 Mn 1.95, 2 Co 1.97-2.06, 2 Li 2.12-2.14
O 0.8209 0.2832 0.1193  1 Mn 1.94, 1 Co 1.96, 3 Li 2.06-2.10
O 0.1694 0.1935 0.8831  1 Mn 1.94, 3 Li 2.06-2.11, 1 Co 2.06
O 0.2818 0.8158 0.1250  1 Co 1.89, 1 Mn 1.97, 1 Li 2.05
O 0.9197 0.9242 0.3783  1 Mn 1.93, 2 Co 2.10-2.14, 1 Li 2.15
O 0.3195 0.3085 0.1398  2 Co 1.90-1.99, 2 Li 2.01-2.10
O 0.4314 0.4203 0.3757  3 Co 1.95-2.08, 3 Li 2.10-2.17
O 0.5796 0.5605 0.6195  1 Mn 1.93, 1 Co 2.05, 3 Li 2.07-2.15
O 0.1809 0.7280 0.8766  1 Co 1.92, 1 Mn 1.95, 2 Li 2.06-2.09
O 0.9360 0.4629 0.3800  1 Mn 1.96, 2 Co 2.02-2.08, 2 Li 2.12-2.15
O 0.4608 0.9270 0.3841  1 Mn 1.92, 2 Co 2.06-2.10, 1 Li 2.07
Mn 0.7483 0.7456 0.5002  6 O 1.92-1.98
Mn 0.9993 0.0051 0.9987  6 O 1.94-1.97
Co 0.2537 0.2466 0.5005  6 O 1.92-2.10
Co 0.3769 0.8757 0.7523  4 O 1.87-1.97
Co 0.1358 0.6205 0.2443  5 O 1.89-2.08
Co 0.6199 0.1289 0.2425  6 O 1.90-2.10
Co 0.8618 0.3864 0.7579  5 O 1.90-2.06